# FeSb3Pb4O13 GGA+U optimized geometry
data_FeSb3Pb4O13
_cell_length_a 10.6420
_cell_length_b 12.9600
_cell_length_c 10.6420
_cell_angle_alpha 113.72
_cell_angle_beta 89.61
_cell_angle_gamma 66.28
_symmetry_space_group_name_H-M 'P 1'
_symmetry_Int_Tables_number 1
loop_
_symmetry_equiv_pos_as_xyz
'x,y,z'
loop_
_atom_site_label
_atom_site_type_symbol
_atom_site_fract_x
_atom_site_fract_y
_atom_site_fract_z
O1 O 0.7865 0.6792 0.7135
O2 O 0.8139 0.1278 0.8868
Sb1 Sb 0.2504 0.4997 0.7496
O3 O 0.0874 0.0706 0.4126
Pb1 Pb 0.8732 0.7515 0.3743
O4 O 0.4626 0.8230 0.5374
Sb2 Sb 0.6245 0.2503 0.6249
O5 O 0.3632 0.6278 0.4361
O6 O 0.8121 0.1242 0.1879
O7 O 0.4142 0.9271 0.0858
Pb2 Pb 0.5020 0.9989 0.4980
O8 O 0.9380 0.3761 0.2589
Sb3 Sb 0.3745 0.7503 0.3749
Pb3 Pb 0.4993 0.4985 0.0007
O9 O 0.5639 0.6278 0.6368
Fe1 Fe 0.7496 0.9992 0.7505
O10 O 0.0109 0.1241 0.6879
O11 O 0.5365 0.1792 0.4635
O12 O 0.9626 0.8230 0.0374
Pb4 Pb 0.6257 0.7515 0.1268
Sb4 Sb 0.5004 0.9997 0.9996
Sb5 Sb 0.6251 0.7503 0.6255
Pb5 Pb 0.2493 0.9986 0.7507
O13 O 0.5621 0.6242 0.9379
O14 O 0.5109 0.1241 0.1879
O15 O 0.7126 0.3230 0.7874
Sb6 Sb 0.8745 0.7503 0.8749
Pb6 Pb 0.0020 0.9989 0.9980
O16 O 0.6342 0.3726 0.5637
O17 O 0.3139 0.1278 0.3868
O18 O 0.8842 0.8727 0.8137
O19 O 0.6880 0.8761 0.0089
O20 O 0.9142 0.9271 0.5858
Sb7 Sb 0.7504 0.4997 0.2496
Pb7 Pb 0.1258 0.7515 0.6268
O21 O 0.0621 0.6241 0.7391
O22 O 0.1342 0.3726 0.0637
O23 O 0.5621 0.6241 0.2391
O24 O 0.4363 0.3727 0.3658
O25 O 0.1863 0.8726 0.1158
Pb8 Pb 0.7520 0.4989 0.7480
O26 O 0.1642 0.4271 0.8358
Sb8 Sb 0.0004 0.9997 0.4996
Pb9 Pb 0.7493 0.9985 0.2507
Fe2 Fe 0.2496 0.9992 0.2505
Pb10 Pb 0.8757 0.2515 0.3768
O27 O 0.8374 0.5706 0.1626
O28 O 0.2865 0.6792 0.2135
Pb11 Pb 0.6232 0.2515 0.1243
Fe3 Fe 0.9995 0.4992 0.0004
Pb12 Pb 0.2520 0.4989 0.2480
Pb13 Pb 0.1232 0.2515 0.6242
O29 O 0.2609 0.6241 0.9379
O30 O 0.0621 0.6242 0.4379
O31 O 0.1880 0.8761 0.5089
O32 O 0.3842 0.8727 0.3137
O33 O 0.3121 0.1242 0.6879
O34 O 0.6642 0.4271 0.3358
O35 O 0.2126 0.3230 0.2874
O36 O 0.7411 0.3761 0.0620
Sb9 Sb 0.1251 0.7503 0.1255
Sb10 Sb 0.1245 0.2503 0.1249
O37 O 0.4380 0.3761 0.7589
O38 O 0.5874 0.0706 0.9126
O39 O 0.1132 0.1278 0.1861
O40 O 0.4911 0.8761 0.8120
Sb11 Sb 0.3751 0.2503 0.3755
O41 O 0.6132 0.1278 0.6861
O42 O 0.0365 0.1792 0.9635
O43 O 0.7609 0.6241 0.4379
Sb12 Sb 0.8751 0.2503 0.8755
O44 O 0.8632 0.6278 0.9361
O45 O 0.3121 0.1241 0.9891
O46 O 0.8121 0.1241 0.4891
O47 O 0.3374 0.5706 0.6626
O48 O 0.0639 0.6278 0.1368
Pb14 Pb 0.9993 0.4985 0.5007
O49 O 0.2411 0.3761 0.5620
O50 O 0.9911 0.8761 0.3120
Pb15 Pb 0.3757 0.2515 0.8768
O51 O 0.9363 0.3727 0.8658
O52 O 0.6863 0.8726 0.6158
Pb16 Pb 0.3732 0.7515 0.8743
Fe4 Fe 0.4995 0.4992 0.5004
# Total energy after the MP2020 corrections, eV per atom: -6.5573
# Formation energy, kJ/mol of atoms: -173.09
# Total DFT energy (no corrections), eV/atom: -6.02
# Calculated volume, Å³ per cell: 1205.11